Computed, not measured: crystalline Ti2IrRh at its relaxed geometry at the PBE level of DFT.

Energy relative to the elements: -0.7855 eV per atom
Final energy: -8.78 eV per atom

Lattice parameters (Å, degrees): 4.409 4.409 4.409 60.00 60.00 60.00
Fractional positions:
Ti  0.250  0.250  0.250
Ti  0.750  0.750  0.750
Ir  0.000  0.000  0.000
Rh  0.500  0.500  0.500

Computed, not measured: crystalline Ir3Ru at its relaxed geometry at the PBE level of DFT.

Energy relative to the elements: -0.0465 eV per atom
Final energy: -8.99 eV per atom

Lattice parameters (Å, degrees): 4.732 4.732 4.732 131.90 131.90 70.39
Fractional positions:
Ir  0.000  0.000  0.000
Ir  0.250  0.750  0.500
Ir  0.750  0.250  0.500
Ru  0.500  0.500  0.000

Computed, not measured: crystalline IrRu at its relaxed geometry at the PBE level of DFT.

Energy above the most stable polymorph in this dataset: 35 meV per atom
Energy relative to the elements: -0.0087 eV per atom
Final energy: -9.07 eV per atom

Lattice parameters (Å, degrees): 4.723 4.723 4.723 33.44 33.44 33.44
Fractional positions:
Ir  0.000  0.000  0.000
Ru  0.500  0.500  0.500

Computed, not measured: crystalline IrRu3 at its relaxed geometry at the PBE level of DFT.

Energy relative to the elements: -0.0527 eV per atom
Final energy: -9.22 eV per atom

Lattice parameters (Å, degrees): 5.479 5.479 4.325 90.00 90.00 120.00
Fractional positions:
Ir  0.333  0.667  0.250
Ir  0.667  0.333  0.750
Ru  0.166  0.332  0.750
Ru  0.166  0.834  0.750
Ru  0.332  0.166  0.250
Ru  0.668  0.834  0.750
Ru  0.834  0.166  0.250
Ru  0.834  0.668  0.250

Computed, not measured: crystalline IrRu at its relaxed geometry at the PBE level of DFT.

Energy above the most stable polymorph in this dataset: 0 meV per atom
Energy relative to the elements: -0.0433 eV per atom
Final energy: -9.10 eV per atom

Lattice parameters (Å, degrees): 2.745 2.745 4.364 90.00 90.00 120.00
Fractional positions:
Ir  0.000  0.000  0.000
Ru  0.667  0.333  0.500

Computed, not measured: crystalline Y2IrRu at its relaxed geometry at the PBE level of DFT.

Energy relative to the elements: -0.5765 eV per atom
Final energy: -8.34 eV per atom

Lattice parameters (Å, degrees): 4.843 4.843 4.843 60.00 60.00 60.00
Fractional positions:
Y  0.250  0.250  0.250
Y  0.750  0.750  0.750
Ir  0.000  0.000  0.000
Ru  0.500  0.500  0.500

Computed, not measured: crystalline IrS2 at its relaxed geometry at the PBE level of DFT.

Energy relative to the elements: -0.7359 eV per atom
Final energy: -6.10 eV per atom

Lattice parameters (Å, degrees): 20.042 3.613 5.686 90.00 90.00 90.00
Fractional positions:
Ir  0.077  0.250  0.073
Ir  0.196  0.750  0.559
Ir  0.304  0.250  0.059
Ir  0.423  0.750  0.573
Ir  0.577  0.250  0.427
Ir  0.696  0.750  0.941
Ir  0.804  0.250  0.441
Ir  0.923  0.750  0.927
S  0.009  0.750  0.222
S  0.123  0.250  0.454
S  0.141  0.750  0.936
S  0.237  0.750  0.179
S  0.263  0.250  0.679
S  0.359  0.250  0.436
S  0.377  0.750  0.954
S  0.491  0.250  0.722
S  0.509  0.750  0.278
S  0.623  0.250  0.046
S  0.641  0.750  0.564
S  0.737  0.750  0.321
S  0.763  0.250  0.821
S  0.859  0.250  0.064
S  0.877  0.750  0.546
S  0.991  0.250  0.778

Computed, not measured: crystalline Ir2S3 at its relaxed geometry at the PBE level of DFT.

Energy relative to the elements: -0.6669 eV per atom
Final energy: -6.38 eV per atom

Lattice parameters (Å, degrees): 8.555 6.066 6.196 90.00 90.00 90.00
Fractional positions:
Ir  0.108  0.249  0.030
Ir  0.108  0.751  0.530
Ir  0.392  0.251  0.530
Ir  0.392  0.749  0.030
Ir  0.608  0.251  0.970
Ir  0.608  0.749  0.470
Ir  0.892  0.249  0.470
Ir  0.892  0.751  0.970
S  0.000  0.455  0.750
S  0.000  0.545  0.250
S  0.150  0.110  0.392
S  0.150  0.890  0.892
S  0.350  0.390  0.892
S  0.350  0.610  0.392
S  0.500  0.045  0.250
S  0.500  0.955  0.750
S  0.650  0.390  0.608
S  0.650  0.610  0.108
S  0.850  0.110  0.108
S  0.850  0.890  0.608

Computed, not measured: crystalline Ir2S3 at its relaxed geometry at the PBE level of DFT.

Energy relative to the elements: -0.6674 eV per atom
Final energy: -6.38 eV per atom

Lattice parameters (Å, degrees): 6.340 6.340 6.340 56.77 56.77 56.77
Fractional positions:
Ir  0.148  0.148  0.148
Ir  0.352  0.352  0.352
Ir  0.648  0.648  0.648
Ir  0.852  0.852  0.852
S  0.046  0.750  0.454
S  0.250  0.546  0.954
S  0.454  0.046  0.750
S  0.546  0.954  0.250
S  0.750  0.454  0.046
S  0.954  0.250  0.546

Computed, not measured: crystalline IrS2 at its relaxed geometry at the PBE level of DFT.

Energy relative to the elements: -0.6225 eV per atom
Final energy: -5.99 eV per atom

Lattice parameters (Å, degrees): 5.746 5.746 5.746 90.00 90.00 90.00
Fractional positions:
Ir  0.000  0.000  0.000
Ir  0.000  0.500  0.500
Ir  0.500  0.000  0.500
Ir  0.500  0.500  0.000
S  0.133  0.633  0.867
S  0.133  0.867  0.367
S  0.367  0.133  0.867
S  0.367  0.367  0.367
S  0.633  0.633  0.633
S  0.633  0.867  0.133
S  0.867  0.133  0.633
S  0.867  0.367  0.133

Computed, not measured: crystalline SbIrS at its relaxed geometry at the PBE level of DFT.

Energy above the most stable polymorph in this dataset: 4 meV per atom
Energy relative to the elements: -0.6465 eV per atom
Largest piezoelectric modulus: 0.17 C/m2
Final energy: -6.18 eV per atom

Lattice parameters (Å, degrees): 6.112 6.098 6.112 90.00 90.00 90.00
Fractional positions:
Sb  0.120  0.134  0.000
Sb  0.380  0.134  0.500
Sb  0.620  0.866  0.000
Sb  0.880  0.866  0.500
Ir  0.011  0.733  0.883
Ir  0.489  0.733  0.383
Ir  0.511  0.267  0.883
Ir  0.989  0.267  0.383
S  0.118  0.626  0.261
S  0.382  0.626  0.761
S  0.618  0.374  0.261
S  0.882  0.374  0.761

Computed, not measured: crystalline SbIrS at its relaxed geometry at the PBE level of DFT.

Energy above the most stable polymorph in this dataset: 0 meV per atom
Energy relative to the elements: -0.6509 eV per atom
Largest piezoelectric modulus: 0.01 C/m2
Final energy: -6.18 eV per atom

Lattice parameters (Å, degrees): 6.104 6.104 6.104 90.00 90.00 90.00
Fractional positions:
Sb  0.123  0.377  0.623
Sb  0.377  0.623  0.123
Sb  0.623  0.123  0.377
Sb  0.877  0.877  0.877
Ir  0.013  0.987  0.487
Ir  0.487  0.013  0.987
Ir  0.513  0.513  0.513
Ir  0.987  0.487  0.013
S  0.117  0.117  0.117
S  0.383  0.883  0.617
S  0.617  0.383  0.883
S  0.883  0.617  0.383